No. 1
VASP calculation (PBE) on a geometry-optimized Mg5Si9 structure.

V = 494 Å³/cell
Space group = P1 (1)
Crystal system = triclinic
Formation energy from the elements = 0.22 eV per atom
Total moment = 0.000 μB per atom

Cell lengths 5.730, 6.919, 13.601 Å; angles 104.12, 92.06, 108.05 degrees
Sites, in units of the cell vectors:
Mg1 0.000 0.000 0.000
Mg2 0.016 0.380 0.918
Mg3 0.034 0.057 0.356
Mg4 0.086 0.614 0.386
Mg5 0.238 0.076 0.790
Mg6 0.349 0.773 0.627
Mg7 0.631 0.571 0.863
Mg8 0.755 0.236 0.689
Mg9 0.779 0.254 0.166
Mg10 0.813 0.674 0.651
Si1 0.067 0.019 0.574
Si2 0.141 0.629 0.791
Si3 0.247 0.462 0.106
Si4 0.249 0.975 0.175
Si5 0.335 0.393 0.677
Si6 0.365 0.367 0.265
Si7 0.393 0.422 0.489
Si8 0.434 0.910 0.934
Si9 0.456 0.045 0.494
Si10 0.462 0.871 0.305
Si11 0.484 0.296 0.986
Si12 0.540 0.799 0.083
Si13 0.662 0.250 0.365
Si14 0.663 0.769 0.468
Si15 0.730 0.977 0.813
Si16 0.740 0.660 0.254
Si17 0.892 0.639 0.082
Si18 0.949 0.346 0.521

***

No. 2
VASP calculation (PBE) on a geometry-optimized In4Se3N2 structure.

V = 867 Å³/cell
Space group = Pnma (62)
Crystal system = orthorhombic
Formation energy from the elements = -0.20 eV per atom
Total moment = 0.000 μB per atom

Cell lengths 6.605, 11.923, 11.009 Å; angles 90.00, 90.00, 90.00 degrees
Sites, in units of the cell vectors:
In1 0.116 0.250 0.121
In2 0.137 0.030 0.887
In3 0.137 0.470 0.887
In4 0.233 0.250 0.550
In5 0.267 0.750 0.050
In6 0.363 0.530 0.387
In7 0.363 0.970 0.387
In8 0.384 0.750 0.621
In9 0.616 0.250 0.379
In10 0.637 0.030 0.613
In11 0.637 0.470 0.613
In12 0.733 0.250 0.950
In13 0.767 0.750 0.450
In14 0.863 0.530 0.113
In15 0.863 0.970 0.113
In16 0.884 0.750 0.879
Se1 0.001 0.250 0.350
Se2 0.031 0.067 0.655
Se3 0.031 0.433 0.655
Se4 0.469 0.567 0.155
Se5 0.469 0.933 0.155
Se6 0.499 0.750 0.850
Se7 0.501 0.250 0.150
Se8 0.531 0.067 0.845
Se9 0.531 0.433 0.845
Se10 0.969 0.567 0.345
Se11 0.969 0.933 0.345
Se12 0.999 0.750 0.650
N1 0.041 0.624 0.981
N2 0.041 0.876 0.981
N3 0.459 0.124 0.481
N4 0.459 0.376 0.481
N5 0.541 0.624 0.519
N6 0.541 0.876 0.519
N7 0.959 0.124 0.019
N8 0.959 0.376 0.019

***

No. 3
VASP calculation (PBE) on a geometry-optimized Ba2Cu3O6 structure.

V = 720 Å³/cell
Space group = P2/m (10)
Crystal system = monoclinic
Formation energy from the elements = -1.79 eV per atom
Total moment = 0.005 μB per atom

Cell lengths 8.272, 7.593, 12.173 Å; angles 90.00, 109.56, 90.00 degrees
Sites, in units of the cell vectors:
Ba1 0.065 0.000 0.258
Ba2 0.182 0.500 0.748
Ba3 0.325 0.500 0.249
Ba4 0.408 0.000 0.758
Ba5 0.592 0.000 0.242
Ba6 0.675 0.500 0.751
Ba7 0.818 0.500 0.252
Ba8 0.935 0.000 0.742
Cu1 0.166 0.251 0.000
Cu2 0.166 0.749 0.000
Cu3 0.168 0.247 0.501
Cu4 0.168 0.753 0.501
Cu5 0.500 0.246 0.000
Cu6 0.500 0.253 0.500
Cu7 0.500 0.747 0.500
Cu8 0.500 0.754 0.000
Cu9 0.832 0.247 0.499
Cu10 0.832 0.753 0.499
Cu11 0.834 0.251 0.000
Cu12 0.834 0.749 0.000
O1 0.053 0.232 0.611
O2 0.053 0.768 0.611
O3 0.055 0.266 0.112
O4 0.055 0.734 0.112
O5 0.278 0.231 0.889
O6 0.278 0.769 0.889
O7 0.279 0.248 0.390
O8 0.279 0.752 0.390
O9 0.387 0.249 0.110
O10 0.387 0.751 0.110
O11 0.389 0.267 0.612
O12 0.389 0.733 0.612
O13 0.611 0.267 0.388
O14 0.611 0.733 0.388
O15 0.613 0.249 0.890
O16 0.613 0.751 0.890
O17 0.721 0.248 0.610
O18 0.721 0.752 0.610
O19 0.722 0.231 0.111
O20 0.722 0.769 0.111
O21 0.945 0.266 0.888
O22 0.945 0.734 0.888
O23 0.947 0.232 0.389
O24 0.947 0.768 0.389

***

No. 4
VASP calculation (PBE) on a geometry-optimized Al2Se3O28 structure.

V = 1391 Å³/cell
Space group = P2_1 (4)
Crystal system = monoclinic
Formation energy from the elements = -0.22 eV per atom
Total moment = 0.000 μB per atom

Cell lengths 6.570, 26.306, 8.123 Å; angles 90.00, 97.76, 90.00 degrees
Sites, in units of the cell vectors:
Al1 0.015 0.000 0.308
Al2 0.106 0.125 0.890
Al3 0.894 0.625 0.110
Al4 0.985 0.500 0.692
Se1 0.449 0.773 0.469
Se2 0.454 0.477 0.173
Se3 0.490 0.112 0.262
Se4 0.510 0.612 0.738
Se5 0.546 0.977 0.827
Se6 0.551 0.273 0.531
O1 0.004 0.183 0.411
O2 0.049 0.884 0.337
O3 0.055 0.371 0.106
O4 0.083 0.488 0.897
O5 0.086 0.223 0.383
O6 0.099 0.926 0.399
O7 0.105 0.150 0.093
O8 0.128 0.520 0.541
O9 0.138 0.188 0.763
O10 0.147 0.769 0.962
O11 0.157 0.389 0.230
O12 0.182 0.622 0.179
O13 0.185 0.057 0.879
O14 0.210 0.774 0.379
O15 0.221 0.085 0.739
O16 0.232 0.729 0.007
O17 0.242 0.593 0.303
O18 0.248 0.225 0.828
O19 0.275 0.022 0.289
O20 0.307 0.070 0.365
O21 0.324 0.147 0.072
O22 0.336 0.581 0.823
O23 0.375 0.966 0.663
O24 0.392 0.416 0.633
O25 0.458 0.656 0.598
O26 0.475 0.380 0.714
O27 0.483 0.805 0.644
O28 0.486 0.948 0.993
O29 0.514 0.448 0.007
O30 0.517 0.305 0.356
O31 0.525 0.880 0.286
O32 0.542 0.156 0.402
O33 0.608 0.916 0.367
O34 0.625 0.466 0.337
O35 0.664 0.081 0.177
O36 0.676 0.647 0.928
O37 0.693 0.570 0.635
O38 0.725 0.522 0.711
O39 0.752 0.725 0.172
O40 0.758 0.093 0.697
O41 0.768 0.229 0.993
O42 0.779 0.585 0.261
O43 0.790 0.274 0.621
O44 0.815 0.557 0.121
O45 0.818 0.122 0.821
O46 0.843 0.889 0.770
O47 0.853 0.269 0.038
O48 0.862 0.688 0.237
O49 0.872 0.020 0.459
O50 0.895 0.650 0.907
O51 0.901 0.426 0.601
O52 0.914 0.723 0.617
O53 0.917 0.988 0.103
O54 0.945 0.871 0.894
O55 0.951 0.384 0.663
O56 0.996 0.683 0.589

***

No. 5
VASP calculation (PBE) on a geometry-optimized Na3LaSiSnP2O12 structure.

V = 1170 Å³/cell
Formation energy from the elements = -2.76 eV per atom
Total moment = 0.000 μB per atom

Cell lengths 16.246, 9.420, 9.445 Å; angles 90.00, 125.98, 90.00 degrees
Sites, in units of the cell vectors:
Na1 0.254 0.720 0.011
Na2 0.754 0.780 0.511
Na3 0.754 0.220 0.011
Na4 0.254 0.280 0.511
Na5 0.509 0.102 0.760
Na6 0.509 0.898 0.260
Na7 0.009 0.602 0.760
Na8 0.009 0.398 0.260
Na9 0.184 0.927 0.303
Na10 0.184 0.073 0.803
Na11 0.684 0.427 0.303
Na12 0.684 0.573 0.803
La1 0.108 0.744 0.572
La2 0.108 0.256 0.072
La3 0.608 0.244 0.572
La4 0.608 0.756 0.072
Si1 0.650 0.878 0.744
Si2 0.650 0.122 0.244
Si3 0.150 0.378 0.744
Si4 0.150 0.622 0.244
Sn1 0.899 0.760 0.939
Sn2 0.899 0.240 0.439
Sn3 0.399 0.260 0.939
Sn4 0.399 0.740 0.439
P1 0.989 0.959 0.753
P2 0.989 0.041 0.253
P3 0.489 0.459 0.753
P4 0.489 0.541 0.253
P5 0.355 0.926 0.749
P6 0.355 0.074 0.249
P7 0.855 0.426 0.749
P8 0.855 0.574 0.249
O1 0.156 0.550 0.764
O2 0.857 0.595 0.744
O3 0.857 0.405 0.244
O4 0.156 0.450 0.264
O5 0.656 0.050 0.764
O6 0.357 0.095 0.744
O7 0.357 0.905 0.244
O8 0.656 0.950 0.264
O9 0.433 0.558 0.589
O10 0.550 0.540 0.924
O11 0.550 0.460 0.424
O12 0.433 0.442 0.089
O13 0.933 0.058 0.589
O14 0.050 0.040 0.924
O15 0.050 0.960 0.424
O16 0.933 0.942 0.089
O17 0.262 0.884 0.746
O18 0.747 0.803 0.754
O19 0.747 0.197 0.254
O20 0.262 0.116 0.246
O21 0.762 0.384 0.746
O22 0.247 0.303 0.754
O23 0.247 0.697 0.254
O24 0.762 0.616 0.246
O25 0.351 0.877 0.585
O26 0.650 0.804 0.897
O27 0.650 0.196 0.397
O28 0.351 0.123 0.085
O29 0.851 0.377 0.585
O30 0.150 0.304 0.897
O31 0.150 0.696 0.397
O32 0.851 0.623 0.085
O33 0.452 0.875 0.920
O34 0.544 0.821 0.552
O35 0.544 0.179 0.052
O36 0.452 0.125 0.420
O37 0.952 0.375 0.920
O38 0.044 0.321 0.552
O39 0.044 0.679 0.052
O40 0.952 0.625 0.420
O41 0.064 0.859 0.749
O42 0.906 0.865 0.744
O43 0.906 0.135 0.244
O44 0.064 0.141 0.249
O45 0.564 0.359 0.749
O46 0.406 0.365 0.744
O47 0.406 0.635 0.244
O48 0.564 0.641 0.249

***

No. 6
VASP calculation (PBE) on a geometry-optimized RbNb6Cl15 structure.

V = 2376 Å³/cell
Space group = Pmma (51)
Crystal system = orthorhombic
Formation energy from the elements = -1.75 eV per atom

Cell lengths 18.223, 13.726, 9.498 Å; angles 90.00, 90.00, 90.00 degrees
Sites, in units of the cell vectors:
Rb1 0.250 0.245 0.182
Rb2 0.250 0.755 0.182
Rb3 0.750 0.245 0.818
Rb4 0.750 0.755 0.818
Nb1 0.029 0.108 0.854
Nb2 0.029 0.892 0.854
Nb3 0.105 0.000 0.079
Nb4 0.168 0.392 0.667
Nb5 0.168 0.608 0.667
Nb6 0.250 0.500 0.451
Nb7 0.250 0.500 0.881
Nb8 0.332 0.392 0.667
Nb9 0.332 0.608 0.667
Nb10 0.395 0.000 0.079
Nb11 0.471 0.108 0.854
Nb12 0.471 0.892 0.854
Nb13 0.529 0.108 0.146
Nb14 0.529 0.892 0.146
Nb15 0.605 0.000 0.921
Nb16 0.668 0.392 0.333
Nb17 0.668 0.608 0.333
Nb18 0.750 0.500 0.119
Nb19 0.750 0.500 0.549
Nb20 0.832 0.392 0.333
Nb21 0.832 0.608 0.333
Nb22 0.895 0.000 0.921
Nb23 0.971 0.108 0.146
Nb24 0.971 0.892 0.146
Cl1 0.000 0.251 0.000
Cl2 0.000 0.749 0.000
Cl3 0.060 0.500 0.670
Cl4 0.065 0.250 0.667
Cl5 0.065 0.750 0.667
Cl6 0.069 0.000 0.659
Cl7 0.092 0.125 0.268
Cl8 0.092 0.875 0.268
Cl9 0.152 0.377 0.408
Cl10 0.152 0.623 0.408
Cl11 0.154 0.377 0.925
Cl12 0.154 0.623 0.925
Cl13 0.159 0.123 0.921
Cl14 0.159 0.877 0.921
Cl15 0.250 0.000 0.186
Cl16 0.250 0.248 0.655
Cl17 0.250 0.500 0.167
Cl18 0.250 0.752 0.655
Cl19 0.341 0.123 0.921
Cl20 0.341 0.877 0.921
Cl21 0.346 0.377 0.925
Cl22 0.346 0.623 0.925
Cl23 0.348 0.377 0.408
Cl24 0.348 0.623 0.408
Cl25 0.408 0.125 0.268
Cl26 0.408 0.875 0.268
Cl27 0.431 0.000 0.659
Cl28 0.435 0.250 0.667
Cl29 0.435 0.750 0.667
Cl30 0.440 0.500 0.670
Cl31 0.500 0.251 0.000
Cl32 0.500 0.749 0.000
Cl33 0.560 0.500 0.330
Cl34 0.565 0.250 0.333
Cl35 0.565 0.750 0.333
Cl36 0.569 0.000 0.341
Cl37 0.592 0.125 0.732
Cl38 0.592 0.875 0.732
Cl39 0.652 0.377 0.592
Cl40 0.652 0.623 0.592
Cl41 0.654 0.377 0.075
Cl42 0.654 0.623 0.075
Cl43 0.659 0.123 0.079
Cl44 0.659 0.877 0.079
Cl45 0.750 0.000 0.814
Cl46 0.750 0.248 0.345
Cl47 0.750 0.500 0.833
Cl48 0.750 0.752 0.345
Cl49 0.841 0.123 0.079
Cl50 0.841 0.877 0.079
Cl51 0.846 0.377 0.075
Cl52 0.846 0.623 0.075
Cl53 0.848 0.377 0.592
Cl54 0.848 0.623 0.592
Cl55 0.908 0.125 0.732
Cl56 0.908 0.875 0.732
Cl57 0.931 0.000 0.341
Cl58 0.935 0.250 0.333
Cl59 0.935 0.750 0.333
Cl60 0.940 0.500 0.330

***

No. 7
VASP calculation (PBE) on a geometry-optimized NaSn2 structure.

V = 729 Å³/cell
Space group = C2/m (12)
Crystal system = monoclinic
Formation energy from the elements = -0.16 eV per atom

Cell lengths 7.644, 7.644, 15.810 Å; angles 101.27, 101.27, 54.00 degrees
Sites, in units of the cell vectors:
Na1 0.115 0.115 0.436
Na2 0.228 0.228 0.913
Na3 0.249 0.751 0.000
Na4 0.405 0.405 0.581
Na5 0.595 0.595 0.419
Na6 0.751 0.249 0.000
Na7 0.772 0.772 0.087
Na8 0.885 0.885 0.564
Sn1 0.112 0.545 0.748
Sn2 0.131 0.565 0.394
Sn3 0.170 0.741 0.253
Sn4 0.173 0.173 0.115
Sn5 0.259 0.830 0.747
Sn6 0.385 0.385 0.116
Sn7 0.435 0.869 0.606
Sn8 0.455 0.888 0.252
Sn9 0.545 0.112 0.748
Sn10 0.565 0.131 0.394
Sn11 0.615 0.615 0.884
Sn12 0.741 0.170 0.253
Sn13 0.827 0.827 0.885
Sn14 0.830 0.259 0.747
Sn15 0.869 0.435 0.606
Sn16 0.888 0.455 0.252

***

No. 8
VASP calculation (PBE) on a geometry-optimized Na8Si7O18 structure.

V = 381 Å³/cell
Space group = R-3m (166)
Crystal system = trigonal
Formation energy from the elements = -2.81 eV per atom
Total moment = 0.000 μB per atom

Cell lengths 7.259, 7.259, 7.259 Å; angles 87.19, 87.19, 87.19 degrees
Sites, in units of the cell vectors:
Na1 0.000 0.000 0.500
Na2 0.000 0.500 0.000
Na3 0.000 0.500 0.500
Na4 0.236 0.236 0.236
Na5 0.500 0.000 0.000
Na6 0.500 0.000 0.500
Na7 0.500 0.500 0.000
Na8 0.764 0.764 0.764
Si1 0.000 0.000 0.000
Si2 0.261 0.728 0.728
Si3 0.272 0.272 0.739
Si4 0.272 0.739 0.272
Si5 0.728 0.261 0.728
Si6 0.728 0.728 0.261
Si7 0.739 0.272 0.272
O1 0.081 0.831 0.831
O2 0.169 0.169 0.919
O3 0.169 0.919 0.169
O4 0.213 0.213 0.544
O5 0.213 0.544 0.213
O6 0.234 0.500 0.766
O7 0.234 0.766 0.500
O8 0.456 0.787 0.787
O9 0.500 0.234 0.766
O10 0.500 0.766 0.234
O11 0.544 0.213 0.213
O12 0.766 0.234 0.500
O13 0.766 0.500 0.234
O14 0.787 0.456 0.787
O15 0.787 0.787 0.456
O16 0.831 0.081 0.831
O17 0.831 0.831 0.081
O18 0.919 0.169 0.169